6
Lattice="4.689 0.000 2.707 1.563 4.421 2.707 0.000 0.000 5.415" Properties=species:S:1:pos:R:3 comment="NdIr2 r2SCAN relaxed" formation_energy_mev_per_atom=-800.7 crystal_system=cubic pbc="T T T"
Nd 0.782 0.553 1.354
Nd 5.471 3.869 9.476
Ir 0.782 2.211 4.061
Ir 2.345 0.000 4.061
Ir 3.126 2.211 2.707
Ir 3.126 2.211 5.415

---

12
Lattice="8.947 -2.678 0.001 8.947 2.678 0.001 8.145 0.000 4.570" Properties=species:S:1:pos:R:3 comment="NdIr3 r2SCAN relaxed" formation_energy_mev_per_atom=-602.7 crystal_system=trigonal pbc="T T T"
Nd 22.406 0.000 3.935
Nd 3.634 0.000 0.638
Nd 0.000 0.000 0.000
Ir 15.393 1.323 1.928
Ir 14.996 0.000 4.184
Ir 15.393 -1.323 1.928
Ir 10.648 -1.323 2.645
Ir 11.044 0.000 0.389
Ir 10.648 1.323 2.645
Ir 17.401 0.000 3.056
Ir 8.640 0.000 1.517
Ir 13.020 0.000 2.286

---

44
Lattice="3.071 1.024 5.802 6.597 0.377 -3.558 -2.323 11.882 -3.049" Properties=species:S:1:pos:R:3 comment="Nd3IrO7 r2SCAN relaxed" formation_energy_mev_per_atom=-2833.1 crystal_system=monoclinic de_polymorph_mev_per_atom=0 pbc="T T T"
Nd 2.242 9.393 -2.783
Nd -0.877 9.132 -0.678
Nd 5.104 3.890 1.977
Nd 8.222 4.151 -0.128
Nd 3.987 6.117 -3.690
Nd 2.865 0.706 1.573
Nd 3.359 7.166 2.885
Nd 4.480 12.577 -2.378
Nd 5.599 9.457 -0.574
Nd 2.190 10.283 1.108
Nd 1.746 3.826 -0.231
Nd 5.156 3.000 -1.913
Ir 3.673 6.641 -0.403
Ir 0.000 0.000 0.000
Ir 3.299 0.188 -1.779
Ir 0.374 6.453 1.376
O 7.770 1.859 2.726
O 2.276 5.994 0.892
O -0.425 11.423 -3.531
O 5.069 7.288 -1.698
O 2.146 12.170 -3.311
O -0.244 6.386 -0.439
O 5.199 1.113 2.505
O 7.589 6.897 -0.366
O 4.905 6.293 1.208
O 2.369 1.402 3.905
O 2.441 6.990 -2.014
O 4.976 11.881 -4.711
O 4.443 11.107 0.843
O 0.524 8.472 1.213
O 2.902 2.176 -1.648
O 6.821 4.811 -2.018
O 3.818 4.858 -1.079
O 0.486 1.819 0.336
O 3.527 8.424 0.274
O 6.860 11.464 -1.141
O 6.186 2.875 0.129
O 3.667 4.967 3.594
O 1.159 10.407 -0.934
O 3.678 8.315 -4.399
O 7.373 4.861 1.912
O 3.003 3.012 1.529
O -0.027 8.422 -2.717
O 4.343 10.271 -2.335

---

22
Lattice="-2.828 -0.189 -5.983 -4.137 -2.029 4.754 -2.418 7.084 0.919" Properties=species:S:1:pos:R:3 comment="Nd3IrO7 r2SCAN relaxed" formation_energy_mev_per_atom=-2821.3 crystal_system=orthorhombic de_polymorph_mev_per_atom=12 pbc="T T T"
Nd 0.000 0.000 0.000
Nd -1.209 3.542 0.459
Nd -6.931 3.368 2.214
Nd -2.452 1.498 -2.524
Nd -6.351 4.183 -2.539
Nd -3.031 0.683 2.229
Ir -3.482 -1.109 -0.614
Ir -4.691 2.433 -0.155
O -5.947 3.997 -0.040
O -3.436 0.869 -0.270
O -4.633 4.940 -3.853
O -4.750 -0.074 3.543
O -5.598 3.583 4.066
O -3.785 1.283 -4.376
O -4.351 6.330 -0.867
O -6.044 1.503 0.942
O -4.683 5.863 1.855
O -5.713 1.969 -1.780
O -3.338 3.363 -1.252
O -5.032 -1.464 0.557
O -4.700 -0.997 -2.165
O -3.670 2.897 1.470

---

6
Lattice="3.964 0.000 -1.089 -0.299 3.952 -1.089 -0.028 -0.030 7.654" Properties=species:S:1:pos:R:3 comment="NdPIr r2SCAN relaxed" formation_energy_mev_per_atom=-1295.8 crystal_system=tetragonal pbc="T T T"
Nd 2.887 0.976 2.749
Nd 0.003 0.003 0.011
P 1.040 3.260 3.786
P 2.120 2.287 -0.041
Ir 1.487 1.604 5.410
Ir 0.435 2.607 1.583

---

4
Lattice="0.000 3.522 3.522 3.522 0.000 3.522 3.522 3.522 0.000" Properties=species:S:1:pos:R:3 comment="PmNdIr2 r2SCAN relaxed" formation_energy_mev_per_atom=-677.7 crystal_system=cubic pbc="T T T"
Pm 0.000 0.000 0.000
Nd 3.522 3.522 3.522
Ir 1.761 1.761 1.761
Ir 5.283 5.283 5.283

---

12
Lattice="4.580 0.000 0.000 0.000 7.413 0.000 0.000 0.000 7.956" Properties=species:S:1:pos:R:3 comment="NdSbIr r2SCAN relaxed" formation_energy_mev_per_atom=-993.6 crystal_system=orthorhombic pbc="T T T"
Nd 1.145 3.819 1.528
Nd 3.435 3.594 6.429
Nd 3.435 7.300 5.506
Nd 1.145 0.112 2.451
Sb 1.145 5.010 4.668
Sb 3.435 2.403 3.288
Sb 3.435 6.109 0.690
Sb 1.145 1.303 7.266
Ir 1.145 5.919 7.236
Ir 3.435 1.494 0.720
Ir 3.435 5.200 3.258
Ir 1.145 2.212 4.698

---

12
Lattice="6.337 0.000 0.000 0.000 6.337 0.000 0.000 0.000 6.337" Properties=species:S:1:pos:R:3 comment="NdSiIr r2SCAN relaxed" formation_energy_mev_per_atom=-1078.2 crystal_system=cubic pbc="T T T"
Nd 2.383 5.552 3.953
Nd 5.552 3.953 2.383
Nd 3.953 2.383 5.552
Nd 0.785 0.785 0.785
Si 4.198 1.030 2.139
Si 1.030 2.139 4.198
Si 2.139 4.198 1.030
Si 5.307 5.307 5.307
Ir 0.432 3.601 5.904
Ir 3.601 5.904 0.432
Ir 5.904 0.432 3.601
Ir 2.736 2.736 2.736

---

9
Lattice="-0.167 3.334 6.653 -1.664 -7.232 -0.582 4.031 -0.975 0.589" Properties=species:S:1:pos:R:3 comment="NdSnIr r2SCAN relaxed" formation_energy_mev_per_atom=-879.6 crystal_system=hexagonal pbc="T T T"
Nd -0.098 1.958 3.907
Nd -0.977 -4.247 -0.341
Nd -0.756 -1.609 2.506
Sn 1.974 0.345 1.957
Sn 1.600 -2.294 0.149
Sn 0.642 -3.412 4.850
Ir 0.851 -4.197 2.125
Ir 1.350 -0.675 4.536
Ir 0.000 0.000 0.000

---

40
Lattice="-6.971 -1.179 -6.743 -0.624 -9.475 2.301 -6.817 2.072 6.685" Properties=species:S:1:pos:R:3 comment="Nd3Sn13Ir4 r2SCAN relaxed" formation_energy_mev_per_atom=-539.5 crystal_system=cubic pbc="T T T"
Nd -8.598 0.965 1.642
Nd -3.564 -1.333 3.917
Nd -5.540 -5.621 -3.907
Nd -5.189 -0.071 -1.700
Nd -3.876 -6.070 5.068
Nd -2.055 -5.032 -0.535
Sn -7.205 -4.290 1.121
Sn 0.000 0.000 0.000
Sn -8.077 -1.566 -0.611
Sn -10.381 -4.336 0.073
Sn -9.200 -2.212 2.819
Sn -6.335 -7.015 2.854
Sn -4.030 -4.245 2.169
Sn -5.211 -6.369 -0.577
Sn -8.459 -7.374 0.799
Sn -8.303 -4.968 -1.964
Sn -5.952 -1.207 1.443
Sn -6.108 -3.614 4.206
Sn -9.390 -5.099 3.521
Sn -5.021 -3.482 -1.278
Sn -6.413 -8.217 5.909
Sn -9.049 0.267 4.968
Sn -12.940 -2.326 -0.372
Sn -8.621 -9.839 -1.366
Sn -12.179 -6.776 3.959
Sn -8.442 -7.433 -4.129
Sn -3.775 -9.019 3.322
Sn -9.482 -6.320 6.568
Sn -11.260 -9.037 1.221
Sn -11.746 -0.189 2.359
Sn -8.200 -3.767 -5.019
Sn -13.181 -5.993 0.519
Ir -10.497 -1.699 0.531
Ir -3.915 -6.883 1.711
Ir -7.400 -7.472 -1.661
Ir -7.011 -1.109 3.903
Ir -7.323 -5.847 5.053
Ir -7.088 -2.735 -2.811
Ir -3.603 -2.145 0.561
Ir -10.808 -6.436 1.682

---

4
Lattice="-4.390 -1.755 1.364 -4.088 2.550 -0.999 -3.156 -1.643 -3.399" Properties=species:S:1:pos:R:3 comment="Pm2NiIr r2SCAN relaxed" formation_energy_mev_per_atom=-519.6 crystal_system=cubic pbc="T T T"
Pm 0.000 0.000 0.000
Pm -5.817 -0.424 -1.517
Ni -8.725 -0.636 -2.275
Ir -2.908 -0.212 -0.758

---

4
Lattice="0.000 3.191 3.191 3.191 0.000 3.191 3.191 3.191 0.000" Properties=species:S:1:pos:R:3 comment="Sc2NiIr r2SCAN relaxed" formation_energy_mev_per_atom=-828.7 crystal_system=cubic pbc="T T T"
Sc 0.000 0.000 0.000
Sc 3.191 3.191 3.191
Ni 4.786 4.786 4.786
Ir 1.595 1.595 1.595

---

4
Lattice="-3.779 -2.806 -0.197 -2.840 -0.392 3.738 -4.321 1.873 -0.118" Properties=species:S:1:pos:R:3 comment="Tm2NiIr r2SCAN relaxed" formation_energy_mev_per_atom=-787.2 crystal_system=cubic pbc="T T T"
Tm 0.000 0.000 0.000
Tm -5.470 -0.663 1.711
Ni -8.205 -0.994 2.567
Ir -2.735 -0.331 0.856

---

6
Lattice="-4.451 -2.360 1.835 0.039 -5.223 1.209 -0.287 -1.568 5.118" Properties=species:S:1:pos:R:3 comment="NpIr2 r2SCAN relaxed" formation_energy_mev_per_atom=-784.8 crystal_system=cubic pbc="T T T"
Np -4.112 -8.007 7.142
Np -0.587 -1.144 1.020
Ir -2.350 -4.576 4.081
Ir -2.206 -3.791 1.522
Ir -0.124 -3.396 3.164
Ir -2.369 -1.964 3.477

---

22
Lattice="0.000 5.149 5.149 5.149 0.000 5.149 5.149 5.149 0.000" Properties=species:S:1:pos:R:3 comment="Ir2Pb2O7 r2SCAN relaxed" formation_energy_mev_per_atom=-1096.1 crystal_system=cubic pbc="T T T"
Ir 6.436 3.861 3.861
Ir 3.861 6.436 3.861
Ir 3.861 3.861 6.436
Ir 6.436 6.436 6.436
Pb 1.287 3.861 3.861
Pb 3.861 1.287 3.861
Pb 3.861 3.861 1.287
Pb 1.287 1.287 1.287
O 5.149 5.149 7.263
O 5.149 5.149 3.034
O 5.149 7.263 5.149
O 5.149 3.034 5.149
O 7.263 5.149 5.149
O 3.034 5.149 5.149
O 7.723 7.723 5.608
O 7.723 7.723 9.838
O 7.723 5.608 7.723
O 7.723 9.838 7.723
O 5.608 7.723 7.723
O 9.838 7.723 7.723
O 2.574 2.574 2.574
O 0.000 0.000 0.000

---

38
Lattice="-5.063 5.063 4.768 5.063 -5.063 4.768 5.063 5.063 -4.768" Properties=species:S:1:pos:R:3 comment="RbIr6O12 r2SCAN relaxed" formation_energy_mev_per_atom=-946.0 crystal_system=tetragonal pbc="T T T"
Rb 0.000 0.000 7.601
Rb 5.063 5.063 -2.834
Ir 6.737 1.503 1.588
Ir 1.676 6.563 0.000
Ir 1.674 6.565 3.180
Ir 3.389 -1.502 1.588
Ir 3.387 -1.500 4.768
Ir -1.674 3.560 3.180
Ir 1.500 3.387 4.768
Ir 6.566 -1.674 3.180
Ir 1.503 3.389 1.588
Ir 3.561 1.674 3.180
Ir -1.502 6.737 1.588
Ir 3.563 1.676 0.000
O 1.581 4.601 3.178
O 6.644 -0.462 1.590
O 1.568 4.601 0.000
O -1.580 5.525 3.178
O 3.483 0.462 1.590
O 3.495 0.462 4.768
O -0.462 3.482 1.591
O -0.462 3.494 4.768
O 4.600 -1.581 3.177
O 5.525 1.569 0.000
O 5.526 1.581 3.177
O 0.463 6.644 1.590
O 2.089 -1.569 6.357
O -2.989 3.504 4.768
O 2.089 -1.569 3.178
O 8.052 1.559 0.000
O 2.974 6.632 -1.590
O 2.974 6.632 1.589
O 3.494 2.974 -1.589
O 3.494 2.974 1.589
O 3.504 2.990 4.768
O 1.569 2.089 3.178
O 1.569 2.089 6.357
O 1.559 2.073 0.000

---

22
Lattice="0.000 5.093 5.093 5.093 0.000 5.093 5.093 5.093 0.000" Properties=species:S:1:pos:R:3 comment="Y2Ir2O7 r2SCAN relaxed" formation_energy_mev_per_atom=-2305.6 crystal_system=cubic pbc="T T T"
Y 1.273 3.820 3.820
Y 3.820 1.273 3.820
Y 3.820 3.820 1.273
Y 1.273 1.273 1.273
Ir 6.366 3.820 3.820
Ir 3.820 6.366 3.820
Ir 3.820 3.820 6.366
Ir 6.366 6.366 6.366
O 5.093 5.093 7.262
O 5.093 5.093 2.924
O 5.093 7.262 5.093
O 5.093 2.924 5.093
O 7.262 5.093 5.093
O 2.924 5.093 5.093
O 7.639 7.639 5.470
O 7.639 7.639 9.808
O 7.639 5.470 7.639
O 7.639 9.808 7.639
O 5.470 7.639 7.639
O 9.808 7.639 7.639
O 2.546 2.546 2.546
O 0.000 0.000 0.000

---

4
Lattice="3.848 0.000 0.000 0.000 3.848 0.000 0.000 0.000 3.848" Properties=species:S:1:pos:R:3 comment="Ir3Os r2SCAN relaxed" formation_energy_mev_per_atom=21.4 crystal_system=cubic pbc="T T T"
Ir 0.000 1.924 1.924
Ir 1.924 1.924 0.000
Ir 1.924 0.000 1.924
Os 0.000 0.000 0.000

---

Computed final energy, in the same sequence as the records: -273.08; -566.72; -854.34; -426.91; -189.33; -166.39; -441.86; -375.14; -327.49; -1260.36; -125.50; -90.45; -137.73; -380.19; -542.31; -835.46; -425.03; -209.98 eV for the cell shown.